Version a
Entry from the Materials Project: crystalline AlSn2O4 at its relaxed geometry (PBE).

CIF file:
```
data_AlSn2O4
_chemical_formula_sum 'Al2 Sn4 O8'
_space_group_name_H-M_alt 'P 1'
_space_group_IT_number 1
_space_group_name_Hall 'P 1'
_cell_length_a 7.077
_cell_length_b 7.077
_cell_length_c 5.594
_cell_angle_alpha 66.75
_cell_angle_beta 66.75
_cell_angle_gamma 110.78
loop_
_atom_site_label
_atom_site_type_symbol
_atom_site_fract_x
_atom_site_fract_y
_atom_site_fract_z
_atom_site_occupancy
Al1 Al 0.127 0.873 0.250 1
Al2 Al 0.873 0.127 0.750 1
Sn1 Sn 0.500 0.500 0.500 1
Sn2 Sn 0.500 0.500 0.000 1
Sn3 Sn 0.500 0.000 0.500 1
Sn4 Sn 0.000 0.500 0.000 1
O1 O 0.919 0.719 0.697 1
O2 O 0.281 0.081 0.803 1
O3 O 0.081 0.281 0.303 1
O4 O 0.719 0.919 0.197 1
O5 O 0.107 0.415 0.673 1
O6 O 0.585 0.893 0.827 1
O7 O 0.415 0.107 0.173 1
O8 O 0.893 0.585 0.327 1
```

Values from the calculation:
Theoretical density ... 5.791 g/cm3

Version b
Entry from the Materials Project: crystalline AlSn2O4 at its relaxed geometry (PBE).

CIF file:
```
data_AlSn2O4
_chemical_formula_sum 'Al2 Sn4 O8'
_space_group_name_H-M_alt 'P 1'
_space_group_IT_number 1
_space_group_name_Hall 'P 1'
_cell_length_a 6.521
_cell_length_b 6.521
_cell_length_c 6.521
_cell_angle_alpha 60.00
_cell_angle_beta 60.00
_cell_angle_gamma 60.00
loop_
_atom_site_label
_atom_site_type_symbol
_atom_site_fract_x
_atom_site_fract_y
_atom_site_fract_z
_atom_site_occupancy
Al1 Al 0.750 0.750 0.750 1
Al2 Al 0.500 0.500 0.500 1
Sn1 Sn 0.125 0.125 0.625 1
Sn2 Sn 0.125 0.125 0.125 1
Sn3 Sn 0.125 0.625 0.125 1
Sn4 Sn 0.625 0.125 0.125 1
O1 O 0.864 0.408 0.864 1
O2 O 0.842 0.386 0.386 1
O3 O 0.386 0.386 0.842 1
O4 O 0.386 0.386 0.386 1
O5 O 0.408 0.864 0.864 1
O6 O 0.386 0.842 0.386 1
O7 O 0.864 0.864 0.408 1
O8 O 0.864 0.864 0.864 1
```

Values from the calculation:
Theoretical density ... 5.561 g/cm3

The energetic minimum among the shown structures is version b; the next structure lies 6.2 kJ/mol of atoms above.